Record 1
## LiSn2P3O10 (PBE)

Data for crystalline LiSn2P3O10 at its relaxed geometry.

Lattice parameters (Å, degrees): 5.079 9.219 10.051 90.00 94.63 90.00
Fractional positions:
Li 0.000 0.000 0.000
Li 0.000 0.500 0.000
Sn 0.027 0.058 0.326
Sn 0.027 0.442 0.326
Sn 0.973 0.558 0.674
Sn 0.973 0.942 0.674
P 0.292 0.250 0.837
P 0.418 0.250 0.124
P 0.441 0.750 0.432
P 0.559 0.250 0.568
P 0.582 0.750 0.876
P 0.708 0.750 0.163
O 0.130 0.111 0.836
O 0.130 0.389 0.836
O 0.250 0.111 0.138
O 0.250 0.389 0.138
O 0.279 0.611 0.444
O 0.279 0.889 0.444
O 0.298 0.250 0.482
O 0.319 0.750 0.796
O 0.495 0.250 0.728
O 0.495 0.250 0.967
O 0.505 0.750 0.033
O 0.505 0.750 0.272
O 0.681 0.250 0.204
O 0.702 0.750 0.518
O 0.721 0.111 0.556
O 0.721 0.389 0.556
O 0.750 0.611 0.862
O 0.750 0.889 0.862
O 0.870 0.611 0.164
O 0.870 0.889 0.164

Properties
VASP energy: -0.493 Ry per atom
calculated formation energy: -2.415 eV/atom
size of the total moment: 0.002 μB/cell
energy with MP2020 corrections: -7.143 eV/atom
ΔE to the lowest computed polymorph: 0.012 eV per atom


Record 2
## Li3Sn2P3O12 (PBE)

Data for crystalline Li3Sn2P3O12 at its relaxed geometry.

Lattice parameters (Å, degrees): 8.907 9.389 12.543 90.00 94.04 90.00
Fractional positions:
Li 0.000 0.000 0.000
Li 0.000 0.000 0.500
Li 0.000 0.072 0.250
Li 0.000 0.928 0.750
Li 0.207 0.269 0.589
Li 0.207 0.731 0.089
Li 0.500 0.368 0.250
Li 0.500 0.500 0.000
Li 0.500 0.500 0.500
Li 0.500 0.632 0.750
Li 0.793 0.269 0.911
Li 0.793 0.731 0.411
Sn 0.207 0.490 0.359
Sn 0.207 0.510 0.859
Sn 0.324 0.012 0.166
Sn 0.324 0.988 0.666
Sn 0.676 0.012 0.334
Sn 0.676 0.988 0.834
Sn 0.793 0.490 0.141
Sn 0.793 0.510 0.641
P 0.000 0.227 0.750
P 0.000 0.773 0.250
P 0.158 0.348 0.104
P 0.158 0.652 0.604
P 0.296 0.155 0.409
P 0.296 0.845 0.909
P 0.500 0.349 0.750
P 0.500 0.651 0.250
P 0.704 0.155 0.091
P 0.704 0.845 0.591
P 0.842 0.348 0.396
P 0.842 0.652 0.896
O 0.002 0.421 0.103
O 0.002 0.579 0.603
O 0.065 0.135 0.663
O 0.065 0.865 0.163
O 0.127 0.324 0.802
O 0.127 0.676 0.302
O 0.145 0.187 0.090
O 0.145 0.813 0.590
O 0.184 0.127 0.315
O 0.184 0.873 0.815
O 0.236 0.081 0.509
O 0.236 0.919 0.009
O 0.249 0.418 0.014
O 0.249 0.582 0.514
O 0.250 0.390 0.212
O 0.250 0.610 0.712
O 0.298 0.321 0.443
O 0.298 0.679 0.943
O 0.377 0.265 0.689
O 0.377 0.735 0.189
O 0.436 0.456 0.838
O 0.436 0.544 0.338
O 0.459 0.122 0.389
O 0.459 0.878 0.889
O 0.541 0.122 0.111
O 0.541 0.878 0.611
O 0.564 0.456 0.662
O 0.564 0.544 0.162
O 0.623 0.265 0.811
O 0.623 0.735 0.311
O 0.702 0.321 0.057
O 0.702 0.679 0.557
O 0.750 0.390 0.288
O 0.750 0.610 0.788
O 0.751 0.418 0.486
O 0.751 0.582 0.986
O 0.764 0.081 0.991
O 0.764 0.919 0.491
O 0.816 0.127 0.185
O 0.816 0.873 0.685
O 0.855 0.187 0.410
O 0.855 0.813 0.910
O 0.873 0.324 0.698
O 0.873 0.676 0.198
O 0.935 0.135 0.837
O 0.935 0.865 0.337
O 0.998 0.421 0.397
O 0.998 0.579 0.897

Properties
VASP energy: -0.479 Ry per atom
calculated formation energy: -2.464 eV/atom
size of the total moment: 0.001 μB/cell
energy with MP2020 corrections: -6.932 eV/atom
ΔE to the lowest computed polymorph: 0.055 eV per atom


Record 3
## LiSnPO4 (PBE)

Data for crystalline LiSnPO4 at its relaxed geometry.

Lattice parameters (Å, degrees): 9.510 7.388 19.246 90.00 119.25 90.00
Fractional positions:
Li 0.000 0.225 0.248
Li 0.000 0.275 0.748
Li 0.000 0.725 0.252
Li 0.000 0.775 0.752
Li 0.294 0.065 0.575
Li 0.294 0.435 0.075
Li 0.339 0.062 0.086
Li 0.339 0.438 0.586
Li 0.661 0.562 0.414
Li 0.661 0.938 0.914
Li 0.706 0.565 0.925
Li 0.706 0.935 0.425
Sn 0.069 0.719 0.606
Sn 0.069 0.781 0.106
Sn 0.303 0.737 0.938
Sn 0.303 0.763 0.438
Sn 0.377 0.218 0.788
Sn 0.377 0.282 0.288
Sn 0.623 0.718 0.712
Sn 0.623 0.782 0.212
Sn 0.697 0.237 0.562
Sn 0.697 0.263 0.062
Sn 0.931 0.219 0.894
Sn 0.931 0.281 0.394
P 0.036 0.197 0.589
P 0.036 0.303 0.089
P 0.314 0.213 0.934
P 0.314 0.287 0.434
P 0.369 0.686 0.770
P 0.369 0.814 0.270
P 0.631 0.186 0.730
P 0.631 0.314 0.230
P 0.686 0.713 0.566
P 0.686 0.787 0.066
P 0.964 0.697 0.911
P 0.964 0.803 0.411
O 0.001 0.726 0.347
O 0.001 0.774 0.847
O 0.124 0.010 0.615
O 0.124 0.490 0.115
O 0.136 0.675 0.988
O 0.136 0.825 0.488
O 0.146 0.184 0.071
O 0.146 0.316 0.571
O 0.166 0.235 0.354
O 0.166 0.265 0.854
O 0.189 0.715 0.747
O 0.189 0.785 0.247
O 0.287 0.028 0.965
O 0.287 0.472 0.465
O 0.353 0.146 0.499
O 0.353 0.354 0.999
O 0.362 0.678 0.685
O 0.362 0.822 0.185
O 0.440 0.505 0.816
O 0.440 0.995 0.316
O 0.464 0.194 0.918
O 0.464 0.306 0.418
O 0.480 0.661 0.320
O 0.480 0.839 0.820
O 0.520 0.161 0.180
O 0.520 0.339 0.680
O 0.536 0.694 0.582
O 0.536 0.806 0.082
O 0.560 0.005 0.684
O 0.560 0.495 0.184
O 0.638 0.178 0.815
O 0.638 0.322 0.315
O 0.647 0.646 0.001
O 0.647 0.854 0.501
O 0.713 0.528 0.535
O 0.713 0.972 0.035
O 0.811 0.215 0.753
O 0.811 0.285 0.253
O 0.834 0.735 0.146
O 0.834 0.765 0.646
O 0.854 0.684 0.429
O 0.854 0.816 0.929
O 0.864 0.175 0.512
O 0.864 0.325 0.012
O 0.876 0.510 0.885
O 0.876 0.990 0.385
O 0.999 0.226 0.153
O 0.999 0.274 0.653

Properties
VASP energy: -0.474 Ry per atom
calculated formation energy: -2.398 eV/atom
size of the total moment: 0.001 μB/cell
energy with MP2020 corrections: -6.844 eV/atom


Record 4
## Li5SnP4O14 (PBE)

Data for crystalline Li5SnP4O14 at its relaxed geometry.

Lattice parameters (Å, degrees): 7.163 8.688 9.730 77.09 77.78 69.28
Fractional positions:
Li 0.040 0.498 0.142
Li 0.249 0.731 0.906
Li 0.281 0.260 0.571
Li 0.332 0.188 0.276
Li 0.424 0.484 0.352
Li 0.576 0.516 0.648
Li 0.668 0.812 0.724
Li 0.719 0.740 0.429
Li 0.751 0.269 0.094
Li 0.960 0.502 0.858
Sn 0.134 0.865 0.238
Sn 0.866 0.135 0.762
P 0.118 0.633 0.570
P 0.168 0.129 0.969
P 0.304 0.898 0.542
P 0.407 0.345 0.945
P 0.593 0.655 0.055
P 0.696 0.102 0.458
P 0.832 0.871 0.031
P 0.882 0.367 0.430
O 0.010 0.254 0.874
O 0.084 0.368 0.343
O 0.096 0.153 0.127
O 0.122 0.658 0.406
O 0.142 0.800 0.600
O 0.213 0.051 0.617
O 0.216 0.497 0.924
O 0.217 0.950 0.952
O 0.299 0.480 0.607
O 0.316 0.944 0.378
O 0.369 0.180 0.915
O 0.410 0.648 0.172
O 0.453 0.313 0.097
O 0.497 0.224 0.410
O 0.503 0.776 0.590
O 0.547 0.687 0.903
O 0.590 0.352 0.828
O 0.631 0.820 0.085
O 0.684 0.056 0.622
O 0.701 0.520 0.393
O 0.783 0.050 0.048
O 0.784 0.503 0.076
O 0.787 0.949 0.383
O 0.858 0.200 0.400
O 0.878 0.342 0.594
O 0.904 0.847 0.873
O 0.916 0.632 0.657
O 0.990 0.746 0.126

Properties
VASP energy: -0.479 Ry per atom
calculated formation energy: -2.570 eV/atom
size of the total moment: 0.005 μB/cell
energy with MP2020 corrections: -6.923 eV/atom


Record 5
## Li3Sn3P4O16 (PBE)

Data for crystalline Li3Sn3P4O16 at its relaxed geometry.

Lattice parameters (Å, degrees): 6.457 12.389 8.944 90.00 103.54 90.00
Fractional positions:
Li 0.121 0.000 0.158
Li 0.160 0.688 0.417
Li 0.346 0.865 0.590
Li 0.654 0.365 0.410
Li 0.840 0.188 0.583
Li 0.879 0.500 0.842
Sn 0.088 0.373 0.218
Sn 0.364 0.600 0.822
Sn 0.398 0.217 0.765
Sn 0.602 0.717 0.235
Sn 0.636 0.100 0.178
Sn 0.912 0.873 0.782
P 0.054 0.696 0.098
P 0.118 0.412 0.580
P 0.361 0.155 0.412
P 0.451 0.885 0.916
P 0.549 0.385 0.084
P 0.639 0.655 0.588
P 0.882 0.912 0.420
P 0.946 0.196 0.902
O 0.011 0.810 0.029
O 0.046 0.605 0.984
O 0.073 0.838 0.449
O 0.099 0.171 0.790
O 0.100 0.497 0.705
O 0.146 0.471 0.431
O 0.164 0.226 0.335
O 0.245 0.856 0.791
O 0.279 0.696 0.220
O 0.332 0.116 0.575
O 0.338 0.352 0.642
O 0.369 0.054 0.312
O 0.399 0.411 0.193
O 0.417 0.980 0.016
O 0.429 0.717 0.570
O 0.465 0.282 0.986
O 0.535 0.782 0.014
O 0.571 0.217 0.430
O 0.583 0.480 0.984
O 0.601 0.911 0.807
O 0.631 0.554 0.688
O 0.662 0.852 0.358
O 0.668 0.616 0.425
O 0.721 0.196 0.780
O 0.755 0.356 0.209
O 0.836 0.726 0.665
O 0.854 0.971 0.569
O 0.900 0.997 0.295
O 0.901 0.671 0.210
O 0.927 0.338 0.551
O 0.954 0.105 0.016
O 0.989 0.310 0.971

Properties
VASP energy: -0.482 Ry per atom
calculated formation energy: -2.424 eV/atom
size of the total moment: 0.002 μB/cell
energy with MP2020 corrections: -6.985 eV/atom
ΔE to the lowest computed polymorph: 0.035 eV per atom


Record 6
## Li3Sn2P3O12 (PBE)

Data for crystalline Li3Sn2P3O12 at its relaxed geometry.

Lattice parameters (Å, degrees): 9.013 9.354 16.299 87.00 73.99 61.23
Fractional positions:
Li 0.000 0.000 0.000
Li 0.014 0.952 0.344
Li 0.063 0.251 0.250
Li 0.176 0.454 0.843
Li 0.257 0.338 0.535
Li 0.361 0.837 0.036
Li 0.489 0.510 0.496
Li 0.626 0.171 0.966
Li 0.727 0.671 0.466
Li 0.815 0.558 0.158
Li 0.923 0.757 0.750
Li 0.967 0.058 0.655
Sn 0.207 0.552 0.029
Sn 0.268 0.521 0.336
Sn 0.285 0.959 0.470
Sn 0.364 0.021 0.836
Sn 0.619 0.990 0.163
Sn 0.700 0.052 0.530
Sn 0.716 0.489 0.664
Sn 0.776 0.458 0.970
P 0.045 0.768 0.176
P 0.081 0.747 0.548
P 0.114 0.246 0.048
P 0.443 0.645 0.882
P 0.466 0.866 0.618
P 0.486 0.742 0.323
P 0.498 0.269 0.677
P 0.519 0.145 0.382
P 0.539 0.366 0.118
P 0.870 0.763 0.951
P 0.904 0.264 0.452
P 0.938 0.242 0.823
O 0.011 0.759 0.992
O 0.028 0.145 0.508
O 0.030 0.319 0.142
O 0.032 0.610 0.155
O 0.081 0.774 0.262
O 0.105 0.087 0.830
O 0.126 0.570 0.533
O 0.176 0.364 0.991
O 0.210 0.743 0.097
O 0.258 0.753 0.508
O 0.261 0.069 0.034
O 0.288 0.982 0.596
O 0.294 0.900 0.344
O 0.296 0.825 0.897
O 0.359 0.529 0.903
O 0.362 0.136 0.451
O 0.371 0.275 0.762
O 0.408 0.415 0.207
O 0.439 0.244 0.597
O 0.440 0.376 0.049
O 0.459 0.915 0.706
O 0.468 0.587 0.332
O 0.470 0.325 0.396
O 0.515 0.686 0.602
O 0.516 0.424 0.670
O 0.526 0.095 0.293
O 0.542 0.634 0.951
O 0.546 0.768 0.403
O 0.573 0.596 0.793
O 0.613 0.735 0.238
O 0.623 0.481 0.096
O 0.623 0.876 0.549
O 0.685 0.186 0.103
O 0.690 0.111 0.656
O 0.696 0.030 0.404
O 0.721 0.939 0.965
O 0.727 0.258 0.492
O 0.774 0.266 0.903
O 0.809 0.645 0.008
O 0.862 0.440 0.466
O 0.879 0.924 0.169
O 0.902 0.235 0.738
O 0.950 0.400 0.844
O 0.957 0.690 0.857
O 0.957 0.865 0.491
O 0.971 0.251 0.009
O 0.985 0.190 0.358
O 0.999 0.820 0.642

Properties
VASP energy: -0.480 Ry per atom
calculated formation energy: -2.470 eV/atom
size of the total moment: 0.000 μB/cell
energy with MP2020 corrections: -6.938 eV/atom
ΔE to the lowest computed polymorph: 0.049 eV per atom